VASP calculation (PBE) on a geometry-optimized Ho5Cl11 structure.

abc: 6.638 33.553 6.892
angles: 90.00 93.24 90.00
Sites, in units of the cell vectors:
Ho1 0.002 0.250 0.323
Ho2 0.036 0.058 0.393
Ho3 0.036 0.442 0.393
Ho4 0.061 0.137 0.699
Ho5 0.061 0.363 0.699
Ho6 0.426 0.062 0.862
Ho7 0.426 0.438 0.862
Ho8 0.476 0.148 0.175
Ho9 0.476 0.352 0.175
Ho10 0.492 0.750 0.181
Ho11 0.508 0.250 0.819
Ho12 0.524 0.648 0.825
Ho13 0.524 0.852 0.825
Ho14 0.574 0.562 0.138
Ho15 0.574 0.938 0.138
Ho16 0.939 0.637 0.301
Ho17 0.939 0.863 0.301
Ho18 0.964 0.558 0.607
Ho19 0.964 0.942 0.607
Ho20 0.998 0.750 0.677
Cl1 0.128 0.750 0.327
Cl2 0.140 0.104 0.066
Cl3 0.140 0.396 0.066
Cl4 0.154 0.671 0.628
Cl5 0.154 0.829 0.628
Cl6 0.205 0.202 0.020
Cl7 0.205 0.298 0.020
Cl8 0.206 0.579 0.320
Cl9 0.206 0.921 0.320
Cl10 0.223 0.008 0.634
Cl11 0.223 0.492 0.634
Cl12 0.290 0.013 0.138
Cl13 0.290 0.487 0.138
Cl14 0.300 0.202 0.528
Cl15 0.300 0.298 0.528
Cl16 0.317 0.582 0.840
Cl17 0.317 0.918 0.840
Cl18 0.319 0.675 0.123
Cl19 0.319 0.825 0.123
Cl20 0.365 0.105 0.499
Cl21 0.365 0.395 0.499
Cl22 0.385 0.750 0.805
Cl23 0.615 0.250 0.195
Cl24 0.635 0.605 0.501
Cl25 0.635 0.895 0.501
Cl26 0.681 0.175 0.877
Cl27 0.681 0.325 0.877
Cl28 0.683 0.082 0.160
Cl29 0.683 0.418 0.160
Cl30 0.700 0.702 0.472
Cl31 0.700 0.798 0.472
Cl32 0.710 0.513 0.862
Cl33 0.710 0.987 0.862
Cl34 0.777 0.508 0.366
Cl35 0.777 0.992 0.366
Cl36 0.794 0.079 0.680
Cl37 0.794 0.421 0.680
Cl38 0.795 0.702 0.980
Cl39 0.795 0.798 0.980
Cl40 0.846 0.171 0.372
Cl41 0.846 0.329 0.372
Cl42 0.860 0.604 0.934
Cl43 0.860 0.896 0.934
Cl44 0.872 0.250 0.673

DFT total energy in eV per atom: -4.556
E_form in eV/atom: -2.27
ρ in g/cm3: 5.264
Crystal system: monoclinic



VASP calculation (PBE) on a geometry-optimized KHo2Cl7 structure.

abc: 6.922 12.613 13.199
angles: 90.00 90.79 90.00
Sites, in units of the cell vectors:
K1 0.231 0.202 0.462
K2 0.231 0.298 0.962
K3 0.769 0.702 0.038
K4 0.769 0.798 0.538
Ho1 0.225 0.661 0.751
Ho2 0.225 0.839 0.251
Ho3 0.279 0.537 0.262
Ho4 0.279 0.963 0.762
Ho5 0.721 0.037 0.238
Ho6 0.721 0.463 0.738
Ho7 0.775 0.161 0.749
Ho8 0.775 0.339 0.249
Cl1 0.016 0.677 0.327
Cl2 0.016 0.823 0.827
Cl3 0.037 0.059 0.631
Cl4 0.037 0.441 0.131
Cl5 0.045 0.087 0.878
Cl6 0.045 0.413 0.378
Cl7 0.242 0.685 0.107
Cl8 0.242 0.815 0.607
Cl9 0.443 0.527 0.866
Cl10 0.443 0.973 0.366
Cl11 0.473 0.574 0.620
Cl12 0.473 0.926 0.120
Cl13 0.497 0.703 0.324
Cl14 0.497 0.797 0.824
Cl15 0.503 0.203 0.176
Cl16 0.503 0.297 0.676
Cl17 0.527 0.074 0.880
Cl18 0.527 0.426 0.380
Cl19 0.557 0.027 0.634
Cl20 0.557 0.473 0.134
Cl21 0.758 0.185 0.393
Cl22 0.758 0.315 0.893
Cl23 0.955 0.587 0.622
Cl24 0.955 0.913 0.122
Cl25 0.963 0.559 0.869
Cl26 0.963 0.941 0.369
Cl27 0.984 0.177 0.173
Cl28 0.984 0.323 0.673

DFT total energy in eV per atom: -4.557
E_form in eV/atom: -2.67
ρ in g/cm3: 3.558
Crystal system: monoclinic



VASP calculation (PBE) on a geometry-optimized K2HoCl5 structure.

abc: 13.063 8.526 8.058
angles: 90.00 90.00 90.00
Sites, in units of the cell vectors:
K1 0.174 0.001 0.034
K2 0.174 0.499 0.034
K3 0.326 0.501 0.534
K4 0.326 0.999 0.534
K5 0.674 0.001 0.466
K6 0.674 0.499 0.466
K7 0.826 0.501 0.966
K8 0.826 0.999 0.966
Ho1 0.002 0.750 0.572
Ho2 0.498 0.250 0.072
Ho3 0.502 0.750 0.928
Ho4 0.998 0.250 0.428
Cl1 0.014 0.750 0.908
Cl2 0.079 0.041 0.653
Cl3 0.079 0.459 0.653
Cl4 0.164 0.750 0.368
Cl5 0.195 0.250 0.332
Cl6 0.305 0.750 0.832
Cl7 0.336 0.250 0.868
Cl8 0.421 0.541 0.153
Cl9 0.421 0.959 0.153
Cl10 0.486 0.250 0.408
Cl11 0.514 0.750 0.592
Cl12 0.579 0.041 0.847
Cl13 0.579 0.459 0.847
Cl14 0.664 0.750 0.132
Cl15 0.695 0.250 0.168
Cl16 0.805 0.750 0.668
Cl17 0.836 0.250 0.632
Cl18 0.921 0.541 0.347
Cl19 0.921 0.959 0.347
Cl20 0.986 0.250 0.092

DFT total energy in eV per atom: -4.159
E_form in eV/atom: -2.54
ρ in g/cm3: 3.111
Crystal system: orthorhombic



VASP calculation (PBE) on a geometry-optimized K3HoCl6 structure.

abc: 13.259 7.828 12.707
angles: 90.00 108.71 90.00
Sites, in units of the cell vectors:
K1 0.099 0.032 0.360
K2 0.099 0.468 0.860
K3 0.315 0.566 0.264
K4 0.315 0.934 0.764
K5 0.321 0.065 0.113
K6 0.321 0.435 0.613
K7 0.679 0.565 0.387
K8 0.679 0.935 0.887
K9 0.685 0.066 0.236
K10 0.685 0.434 0.736
K11 0.901 0.532 0.140
K12 0.901 0.968 0.640
Ho1 0.000 0.000 0.000
Ho2 0.000 0.500 0.500
Ho3 0.500 0.000 0.500
Ho4 0.500 0.500 0.000
Cl1 0.101 0.218 0.597
Cl2 0.101 0.282 0.097
Cl3 0.119 0.502 0.371
Cl4 0.119 0.998 0.871
Cl5 0.137 0.683 0.653
Cl6 0.137 0.817 0.153
Cl7 0.346 0.708 0.005
Cl8 0.346 0.792 0.505
Cl9 0.348 0.215 0.392
Cl10 0.348 0.285 0.892
Cl11 0.500 0.142 0.691
Cl12 0.500 0.358 0.191
Cl13 0.500 0.642 0.809
Cl14 0.500 0.858 0.309
Cl15 0.652 0.715 0.108
Cl16 0.652 0.785 0.608
Cl17 0.654 0.208 0.495
Cl18 0.654 0.292 0.995
Cl19 0.863 0.183 0.847
Cl20 0.863 0.317 0.347
Cl21 0.881 0.002 0.129
Cl22 0.881 0.498 0.629
Cl23 0.899 0.718 0.903
Cl24 0.899 0.782 0.403

DFT total energy in eV per atom: -4.024
E_form in eV/atom: -2.49
ρ in g/cm3: 2.632
Crystal system: monoclinic